Below is crystalline ThAl2Fe3 at its relaxed geometry, with properties calculated at the r²SCAN level.

Output
Total magnetization (μB/f.u.): 7.2
Energy of formation from the pure elements (meV per atom): -230
Total DFT energy (no corrections) (eV/atom): -21.93

Geometry as POSCAR:
```
ThAl2Fe3
1.0
5.411 0.000 0.000
0.000 8.869 0.000
0.000 0.000 4.138
Th Al Fe
2 4 6
direct
0.000 0.000 0.000
0.500 0.500 0.000
0.250 0.250 0.500
0.250 0.750 0.500
0.750 0.250 0.500
0.750 0.750 0.500
0.000 0.342 0.000
0.000 0.500 0.500
0.000 0.658 0.000
0.500 0.000 0.500
0.500 0.158 0.000
0.500 0.842 0.000
```